Compound: Eu2ZnRh
Source: Materials Project
Functional: GGA-PBE
Structure: optimized geometry

Computed properties:
- Energy of formation: -0.328 eV per atom
- Spin magnetization: 14.1 μB/cell

Unit cell a=5.106 b=5.106 c=5.106 alpha=60.00 beta=60.00 gamma=60.00
Fractional coordinates of all 4 atoms:
Eu  0.250  0.250  0.250
Eu  0.750  0.750  0.750
Zn  0.000  0.000  0.000
Rh  0.500  0.500  0.500